Material: Ce4H11
Method: DFT, r2SCAN
State: relaxed

```
Ce4H11
1.0
-2.7564 2.7564 5.4696
2.7564 -2.7564 5.4696
2.7564 2.7564 -5.4696
Ce H
4 11
direct
0.0000 0.5000 0.5000
0.2429 0.2429 0.0000
0.5000 0.0000 0.5000
0.7571 0.7571 0.0000
0.0000 0.0000 0.0000
0.1420 0.1420 0.5267
0.1420 0.6153 0.0000
0.2500 0.7500 0.5000
0.3847 0.3847 0.5267
0.3847 0.8580 0.0000
0.6153 0.1420 0.0000
0.6153 0.6153 0.4733
0.7500 0.2500 0.5000
0.8580 0.3847 0.0000
0.8580 0.8580 0.4733
```

Volume = 166.2 Å³/cell
Energy of formation from the pure elements = -0.666 eV/atom

Material: ZnI2
Method: DFT, r2SCAN
State: relaxed

```
ZnI2
1.0
9.1737 -9.1874 0.0000
9.1737 9.1874 0.0000
-9.1576 0.0000 11.4918
Zn I
16 32
direct
0.0636 0.7871 0.8774
0.0907 0.5634 0.3775
0.1857 0.4093 0.1222
0.2129 0.9364 0.6226
0.2869 0.3144 0.3775
0.3144 0.2869 0.8775
0.4093 0.1857 0.6222
0.4366 0.9093 0.1225
0.5634 0.0907 0.8775
0.5907 0.8143 0.3778
0.6856 0.7131 0.1225
0.7131 0.6856 0.6225
0.7871 0.0636 0.3774
0.8143 0.5907 0.8778
0.9093 0.4366 0.6225
0.9364 0.2129 0.1226
0.0093 0.7593 0.0184
0.0350 0.7497 0.5001
0.0983 0.1403 0.2506
0.1098 0.5987 0.7495
0.1403 0.0983 0.7506
0.1516 0.6100 0.2495
0.2407 0.9907 0.4816
0.2500 0.4648 0.9997
0.2503 0.9650 0.9999
0.2593 0.5094 0.5185
0.3488 0.3599 0.7498
0.3599 0.3488 0.2498
0.3900 0.8484 0.2505
0.4013 0.8902 0.7505
0.4648 0.2500 0.4997
0.4906 0.7407 0.9815
0.5094 0.2593 0.0185
0.5352 0.7500 0.5003
0.5987 0.1098 0.2495
0.6100 0.1516 0.7495
0.6401 0.6512 0.7502
0.6512 0.6401 0.2502
0.7407 0.4906 0.4815
0.7497 0.0350 0.0001
0.7500 0.5352 0.0003
0.7593 0.0093 0.5184
0.8484 0.3900 0.7505
0.8597 0.9017 0.2494
0.8902 0.4013 0.2505
0.9017 0.8597 0.7494
0.9650 0.2503 0.4999
0.9907 0.2407 0.9816
```

Volume = 1937.1 Å³/cell
Energy of formation from the pure elements = -0.707 eV/atom

Material: TiB2W
Method: DFT, r2SCAN
State: relaxed

```
TiB2W
1.0
3.0745 0.0000 0.0000
0.0000 1.5878 4.2037
0.0000 -1.5878 4.2037
Ti B W
1 2 1
direct
0.0000 0.0000 0.0000
0.0000 0.7073 0.7073
0.5000 0.5862 0.5862
0.5000 0.2932 0.2932
```

Volume = 41.0 Å³/cell
Energy of formation from the pure elements = -0.809 eV/atom

- energy of formation from the pure elements of number 3 (TiB2W)?
  -0.809 eV/atom